Computed, not measured: BaCaBiSbO6 after structural relaxation at the PBE level of DFT.

* E (MP2020): -6.601 eV per atom
* total moment: 0.0 μB per formula unit
* volume: 15.36 Å³/atom
* formation energy: -2.437 eV per atom
* offset from the most stable computed form: 0 meV/atom
* uncorrected energy: -247.53 eV for the cell shown

Lattice parameters (Å, degrees): 8.487 8.498 8.518 90.00 90.00 90.00
Space group P222 (No. 16)
Asymmetric unit:
Ba1 0.000 0.000 0.000 x1
Ba2 0.000 0.500 0.000 x1
Ba3 0.500 0.000 0.000 x1
Ba4 0.500 0.500 0.500 x1
Ca1 0.000 0.000 0.500 x1
Ca2 0.000 0.500 0.500 x1
Ca3 0.500 0.000 0.500 x1
Ca4 0.500 0.500 0.000 x1
Bi1 0.251 0.251 0.742 x4
Sb1 0.250 0.248 0.260 x4
O1 0.021 0.200 0.307 x4
O2 0.201 0.477 0.307 x4
O3 0.211 0.269 0.028 x4
O4 0.290 0.015 0.233 x4
O5 0.313 0.211 0.487 x4
O6 0.480 0.307 0.209 x4